# MgCo2Si4O12 | the Materials Project database | PBE with a Hubbard U | relaxed
data_MgCo2Si4O12
_space_group_name_H-M_alt 'P 1'
_space_group_IT_number 1
_cell_length_a 5.297
_cell_length_b 6.485
_cell_length_c 6.506
_cell_angle_alpha 83.18
_cell_angle_beta 74.68
_cell_angle_gamma 74.87
loop_
_space_group_symop_operation_xyz
'x,y,z'
loop_
_atom_site_label
_atom_site_fract_x
_atom_site_fract_y
_atom_site_fract_z
Mg1 0.000 0.000 0.000
Co1 0.500 0.814 0.184
Co2 0.995 0.617 0.378
Si1 0.005 0.524 0.885
Si2 0.498 0.927 0.659
Si3 0.502 0.342 0.070
Si4 0.996 0.108 0.478
O1 0.027 0.646 0.656
O2 0.113 0.928 0.293
O3 0.188 0.064 0.649
O4 0.293 0.373 0.917
O5 0.400 0.538 0.236
O6 0.415 0.841 0.909
O7 0.586 0.091 0.156
O8 0.606 0.765 0.460
O9 0.702 0.086 0.625
O10 0.811 0.353 0.929
O11 0.886 0.706 0.070
O12 0.982 0.341 0.359
# **Crystal system**: triclinic
# **Excess energy over the best structure of this formula in the dataset**: 1.0 kJ/mol of atoms
# **Volume**: 10.94 A^3/atom
# **Magnetic moment**: 4.001 μB per formula unit
# **Formation energy**: -2.62 eV/atom
# **Total energy after the MP2020 corrections**: -7.72 eV per atom
# **Calculated total energy**: -7.12 eV/atom

# Sr3MgFe2S2O5 | the Materials Project database | PBE with a Hubbard U | relaxed
data_Sr3MgFe2S2O5
_space_group_name_H-M_alt 'I -4 m 2'
_space_group_IT_number 119
_space_group_name_Hall 'I -4 -2'
_cell_length_a 3.958
_cell_length_b 3.958
_cell_length_c 27.638
_cell_angle_alpha 90.00
_cell_angle_beta 90.00
_cell_angle_gamma 90.00
loop_
_atom_site_label
_atom_site_fract_x
_atom_site_fract_y
_atom_site_fract_z
Sr1 0.000 0.000 0.000
Sr2 0.000 0.000 0.138
Mg1 0.000 0.500 0.750
Fe1 0.000 0.000 0.430
S1 0.000 0.000 0.306
O1 0.000 0.000 0.500
O2 0.000 0.500 0.079
O3 0.000 0.500 0.580
# **Crystal system**: tetragonal
# **Volume**: 16.65 A^3/atom
# **Magnetic moment**: 10.000 μB per formula unit
# **Formation energy**: -2.24 eV/atom
# **Total energy after the MP2020 corrections**: -6.60 eV per atom
# **Calculated total energy**: -5.91 eV/atom

# MgV2Cd2O7 | the Materials Project database | PBE with a Hubbard U | relaxed
data_MgV2Cd2O7
_space_group_name_H-M_alt 'C 1 m 1'
_space_group_IT_number 8
_cell_length_a 6.380
_cell_length_b 10.019
_cell_length_c 5.460
_cell_angle_alpha 90.00
_cell_angle_beta 96.83
_cell_angle_gamma 90.00
loop_
_space_group_symop_operation_xyz
'x,y,z'
'x,-y,z'
'x+1/2,y+1/2,z'
'x+1/2,-y+1/2,z'
loop_
_atom_site_label
_atom_site_fract_x
_atom_site_fract_y
_atom_site_fract_z
Mg1 0.000 0.000 0.000
V1 0.342 0.500 0.499
V2 0.377 0.000 0.275
Cd1 0.081 0.317 0.875
O1 0.031 0.500 0.579
O2 0.099 0.000 0.373
O3 0.200 0.500 0.165
O4 0.294 0.140 0.065
O5 0.391 0.362 0.721
# **Crystal system**: monoclinic
# **Excess energy over the best structure of this formula in the dataset**: 1.7 kJ/mol of atoms
# **Volume**: 14.44 A^3/atom
# **Magnetic moment**: 2.000 μB per formula unit
# **Formation energy**: -2.11 eV/atom
# **Total energy after the MP2020 corrections**: -6.80 eV per atom
# **Calculated total energy**: -6.11 eV/atom

# Li5V2Ni3O10 | the Materials Project database | PBE with a Hubbard U | relaxed
data_Li5V2Ni3O10
_space_group_name_H-M_alt 'P -1'
_space_group_IT_number 2
_cell_length_a 5.102
_cell_length_b 7.771
_cell_length_c 10.221
_cell_angle_alpha 71.19
_cell_angle_beta 79.54
_cell_angle_gamma 71.60
loop_
_space_group_symop_operation_xyz
'x,y,z'
'-x,-y,-z'
loop_
_atom_site_label
_atom_site_fract_x
_atom_site_fract_y
_atom_site_fract_z
Li1 0.001 0.002 0.248
Li2 0.088 0.304 0.502
Li3 0.104 0.294 0.005
Li4 0.287 0.900 0.501
Li5 0.289 0.897 0.000
V1 0.397 0.198 0.757
V2 0.400 0.191 0.259
Ni1 0.196 0.601 0.251
Ni2 0.197 0.600 0.752
Ni3 0.500 0.500 0.000
Ni4 0.500 0.500 0.500
O1 0.078 0.157 0.865
O2 0.079 0.158 0.366
O3 0.165 0.439 0.631
O4 0.173 0.428 0.135
O5 0.282 0.747 0.867
O6 0.282 0.748 0.368
O7 0.364 0.050 0.141
O8 0.371 0.032 0.640
O9 0.450 0.339 0.368
O10 0.451 0.347 0.869
# **Crystal system**: triclinic
# **Volume**: 9.06 A^3/atom
# **Magnetic moment**: 1.005 μB per formula unit
# **Formation energy**: -2.05 eV/atom
# **Total energy after the MP2020 corrections**: -6.78 eV per atom
# **Calculated total energy**: -5.88 eV/atom

# TaVO4 | the Materials Project database | PBE with a Hubbard U | relaxed
data_TaVO4
_space_group_name_H-M_alt 'I 41 m d'
_space_group_IT_number 109
_space_group_name_Hall 'I 4bw -2'
_cell_length_a 6.703
_cell_length_b 6.703
_cell_length_c 6.163
_cell_angle_alpha 90.00
_cell_angle_beta 90.00
_cell_angle_gamma 90.00
loop_
_atom_site_label
_atom_site_fract_x
_atom_site_fract_y
_atom_site_fract_z
Ta1 0.000 0.000 0.000
V1 0.000 0.000 0.489
O1 0.000 0.300 0.480
O2 0.000 0.302 0.996
# **Crystal system**: tetragonal
# **Volume**: 11.54 A^3/atom
# **Formation energy**: -3.04 eV/atom
# **Total energy after the MP2020 corrections**: -9.83 eV per atom
# **Maximum piezoelectric response**: 0.20 C/m2
# **Calculated total energy**: -9.09 eV/atom

# MgMn6O8F4 | the Materials Project database | PBE with a Hubbard U | relaxed
data_MgMn6O8F4
_space_group_name_H-M_alt 'P 1'
_space_group_IT_number 1
_cell_length_a 4.352
_cell_length_b 4.752
_cell_length_c 10.668
_cell_angle_alpha 98.27
_cell_angle_beta 91.98
_cell_angle_gamma 90.58
loop_
_space_group_symop_operation_xyz
'x,y,z'
loop_
_atom_site_label
_atom_site_fract_x
_atom_site_fract_y
_atom_site_fract_z
Mg1 0.000 0.000 0.000
Mn1 0.162 0.641 0.369
Mn2 0.229 0.787 0.658
Mn3 0.420 0.546 0.030
Mn4 0.619 0.169 0.216
Mn5 0.690 0.215 0.515
Mn6 0.760 0.275 0.807
O1 0.004 0.902 0.514
O2 0.037 0.981 0.810
O3 0.336 0.462 0.212
O4 0.401 0.528 0.524
O5 0.478 0.003 0.043
O6 0.526 0.072 0.663
O7 0.852 0.354 0.364
O8 0.910 0.435 0.978
F1 0.445 0.574 0.821
F2 0.458 0.950 0.358
F3 0.944 0.476 0.668
F4 0.959 0.909 0.179
# **Crystal system**: triclinic
# **Excess energy over the best structure of this formula in the dataset**: 12.9 kJ/mol of atoms
# **Volume**: 11.48 A^3/atom
# **Magnetic moment**: 24.000 μB per formula unit
# **Formation energy**: -2.18 eV/atom
# **Total energy after the MP2020 corrections**: -7.64 eV per atom
# **Calculated total energy**: -6.73 eV/atom